Computed, not measured: an optimized crystal structure of Na3LiMgCl6 at the r²SCAN level of DFT.

Results
Total magnetization ... 0.0 μB per formula unit
ΔE_f ... -186.42 kJ/mol of atoms
DFT total energy ... -75.4 eV/f.u.
Calculated volume ... 771 Å³/cell

abc: 11.9024 11.9024 6.2869
angles: 90.00 90.00 120.00
Fractional positions:
1 Na 0.1667 0.3333 0.3333
2 Na 0.6667 0.8333 0.3333
3 Na 0.8333 0.1667 0.6667
4 Na 0.8333 0.6667 0.6667
5 Na 0.3333 0.1667 0.6667
6 Na 0.5000 0.5000 0.0000
7 Na 0.5000 0.0000 0.0000
8 Na 0.0000 0.5000 0.0000
9 Na 0.1667 0.8333 0.3333
10 Li 0.0000 0.0000 0.0000
11 Li 0.6667 0.3333 0.3333
12 Li 0.3333 0.6667 0.6667
13 Mg 0.0000 0.0000 0.5000
14 Mg 0.6667 0.3333 0.8333
15 Mg 0.3333 0.6667 0.1667
16 Cl 0.0960 0.1920 0.7291
17 Cl 0.5253 0.7627 0.9376
18 Cl 0.9040 0.0960 0.2709
19 Cl 0.8080 0.9040 0.7291
20 Cl 0.7627 0.2373 0.0624
21 Cl 0.2373 0.4747 0.9376
22 Cl 0.7627 0.5253 0.0624
23 Cl 0.1920 0.0960 0.2709
24 Cl 0.5707 0.4293 0.6043
25 Cl 0.4747 0.2373 0.0624
26 Cl 0.4293 0.5707 0.3957
27 Cl 0.9040 0.8080 0.2709
28 Cl 0.4293 0.8587 0.3957
29 Cl 0.8587 0.4293 0.6043
30 Cl 0.2373 0.7627 0.9376
31 Cl 0.1413 0.5707 0.3957
32 Cl 0.0960 0.9040 0.7291
33 Cl 0.5707 0.1413 0.6043

Computed, not measured: an optimized crystal structure of Na4LiCl5 at the r²SCAN level of DFT.

Results
Total magnetization ... 0.0 μB per formula unit
ΔE_f ... -195.19 kJ/mol of atoms
DFT total energy ... -67.6 eV/f.u.
Calculated volume ... 417 Å³/cell

abc: 8.6954 8.6954 5.5207
angles: 90.00 90.00 90.00
Fractional positions:
1 Na 0.5973 0.2008 0.0000
2 Na 0.7008 0.9027 0.5000
3 Na 0.2992 0.0973 0.5000
4 Na 0.4027 0.7992 0.0000
5 Na 0.0973 0.7008 0.5000
6 Na 0.2008 0.4027 0.0000
7 Na 0.7992 0.5973 0.0000
8 Na 0.9027 0.2992 0.5000
9 Li 0.5000 0.5000 0.5000
10 Li 0.0000 0.0000 0.0000
11 Cl 0.7117 0.9068 0.0000
12 Cl 0.2883 0.0932 0.0000
13 Cl 0.4068 0.7883 0.5000
14 Cl 0.0000 0.0000 0.5000
15 Cl 0.5932 0.2117 0.5000
16 Cl 0.2117 0.4068 0.5000
17 Cl 0.7883 0.5932 0.5000
18 Cl 0.9068 0.2883 0.0000
19 Cl 0.5000 0.5000 0.0000
20 Cl 0.0932 0.7117 0.0000

Computed, not measured: an optimized crystal structure of Na4LiCl5 at the r²SCAN level of DFT.

Results
Total magnetization ... 0.0 μB per formula unit
ΔE_f ... -195.28 kJ/mol of atoms
DFT total energy ... -67.6 eV/f.u.
Calculated volume ... 414 Å³/cell

abc: 12.8897 3.8778 9.5272
angles: 90.00 119.51 90.00
Fractional positions:
1 Na 0.8978 0.5000 0.5997
2 Na 0.8017 0.0000 0.1956
3 Na 0.1983 0.0000 0.8044
4 Na 0.1022 0.5000 0.4003
5 Na 0.3978 0.0000 0.5997
6 Na 0.3017 0.5000 0.1956
7 Na 0.6983 0.5000 0.8044
8 Na 0.6022 0.0000 0.4003
9 Li 0.0000 0.0000 0.0000
10 Li 0.5000 0.5000 0.0000
11 Cl 0.3038 0.5000 0.7100
12 Cl 0.6962 0.5000 0.2900
13 Cl 0.0929 0.5000 0.9063
14 Cl 0.0000 0.0000 0.5000
15 Cl 0.9071 0.5000 0.0937
16 Cl 0.8038 0.0000 0.7100
17 Cl 0.1962 0.0000 0.2900
18 Cl 0.5929 0.0000 0.9063
19 Cl 0.5000 0.5000 0.5000
20 Cl 0.4071 0.0000 0.0937